# LiCoSnO4 | the Materials Project database | PBE+U | relaxed
# * energy above the lowest structure with this stoichiometry: 0.06 kcal/mol of atoms
# * DFT total energy: -5.906 eV per atom
# * magnetization: 0.5 μB/f.u.
# * energy relative to the elements: -1.844 eV per atom
data_LiCoSnO4
_chemical_formula_sum 'Li4 Co4 Sn4 O16'
_space_group_name_H-M_alt 'P 1'
_space_group_IT_number 1
_space_group_name_Hall 'P 1'
_cell_length_a 6.1427
_cell_length_b 6.1831
_cell_length_c 10.3952
_cell_angle_alpha 91.80
_cell_angle_beta 105.31
_cell_angle_gamma 118.87
loop_
_atom_site_label
_atom_site_type_symbol
_atom_site_fract_x
_atom_site_fract_y
_atom_site_fract_z
_atom_site_occupancy
Li1 Li 0.0000 0.0000 0.0000 1
Li2 Li 0.0041 0.4968 0.4994 1
Li3 Li 0.2458 0.6257 0.8708 1
Li4 Li 0.2496 0.1222 0.3700 1
Co1 Co 0.6238 0.0597 0.6840 1
Co2 Co 0.6240 0.5619 0.1849 1
Co3 Co 0.6244 0.8073 0.4336 1
Co4 Co 0.6258 0.3149 0.9357 1
Sn1 Sn 0.1243 0.5618 0.1850 1
Sn2 Sn 0.1249 0.0609 0.6851 1
Sn3 Sn 0.6243 0.0619 0.1849 1
Sn4 Sn 0.6244 0.5607 0.6849 1
O1 O 0.3756 0.7004 0.0696 1
O2 O 0.3812 0.4205 0.8069 1
O3 O 0.3861 0.9201 0.3093 1
O4 O 0.3872 0.1909 0.5724 1
O5 O 0.3983 0.9759 0.8032 1
O6 O 0.4014 0.4723 0.2984 1
O7 O 0.4180 0.7086 0.5635 1
O8 O 0.4247 0.2270 0.0700 1
O9 O 0.8251 0.8966 0.2998 1
O10 O 0.8294 0.4116 0.8067 1
O11 O 0.8480 0.6511 0.0717 1
O12 O 0.8529 0.1473 0.5666 1
O13 O 0.8622 0.9305 0.7974 1
O14 O 0.8637 0.2028 0.0608 1
O15 O 0.8679 0.7012 0.5630 1
O16 O 0.8742 0.4223 0.3008 1